The following is a PBE with a Hubbard U calculation of a geometry-optimized MgNiP2O7 structure, from the Materials Project database.

Geometry as POSCAR:
```
MgNiP2O7
1.0
-5.150 -3.832 -0.050
2.428 -2.052 8.430
-6.400 3.988 5.613
Ni O P Mg
4 28 8 4
direct
0.163 0.474 0.729
0.162 0.975 0.229
0.838 0.525 0.271
0.838 0.026 0.771
0.214 0.202 0.254
0.280 0.857 0.936
0.720 0.643 0.564
0.956 0.641 0.033
0.548 0.091 0.738
0.353 0.587 0.981
0.787 0.798 0.746
0.452 0.409 0.762
0.548 0.591 0.238
0.132 0.086 0.792
0.693 0.396 0.500
0.213 0.702 0.754
0.132 0.586 0.292
0.647 0.413 0.019
0.307 0.104 0.000
0.868 0.914 0.208
0.786 0.298 0.246
0.956 0.141 0.533
0.280 0.357 0.436
0.692 0.896 0.000
0.647 0.913 0.519
0.044 0.859 0.467
0.353 0.087 0.481
0.868 0.414 0.708
0.720 0.143 0.064
0.044 0.359 0.967
0.452 0.909 0.262
0.308 0.604 0.500
0.198 0.190 0.424
0.313 0.045 0.860
0.314 0.545 0.360
0.802 0.810 0.576
0.198 0.690 0.924
0.686 0.955 0.140
0.687 0.455 0.640
0.802 0.310 0.076
0.342 0.339 0.008
0.342 0.839 0.508
0.658 0.661 0.992
0.658 0.161 0.492
```

- E_form (meV/atom) = -2605
- energy above the lowest structure with this stoichiometry (meV per atom) = 1
- theoretical density (g/cm3) = 3.47
- calculated total energy (eV per atom) = -6.741
- total magnetization (μB/cell) = 0.000